# 1
A geometry-optimized MgNb2I6O2 structure, computed with GGA-PBE.

Structure (CIF):
```
data_MgNb2I6O2
_chemical_formula_sum 'Mg1 Nb2 I6 O2'
_symmetry_space_group_name_H-M 'P 1'
_symmetry_Int_Tables_number 1
_cell_length_a 3.9265
_cell_length_b 7.8843
_cell_length_c 12.1072
_cell_angle_alpha 92.60
_cell_angle_beta 99.24
_cell_angle_gamma 104.40
loop_
_symmetry_equiv_pos_as_xyz
'x,y,z'
loop_
_atom_site_label
_atom_site_type_symbol
_atom_site_fract_x
_atom_site_fract_y
_atom_site_fract_z
_atom_site_occupancy
Mg1 Mg 0.0000 0.0000 0.0000 1
Nb1 Nb 0.3044 0.6717 0.9379 1
Nb2 Nb 0.4470 0.5836 0.3149 1
I1 I 0.1055 0.4704 0.7429 1
I2 I 0.2284 0.3838 0.0752 1
I3 I 0.3450 0.2825 0.4129 1
I4 I 0.4180 0.0076 0.8271 1
I5 I 0.5435 0.9242 0.1653 1
I6 I 0.6529 0.8069 0.5012 1
O1 O 0.8383 0.7204 0.9580 1
O2 O 0.9417 0.5970 0.2908 1
```

Calculated values
- Offset from the most stable computed form: 15 meV per atom
- Calculated formation energy: -1175 meV per atom
- Volume: 356.9 Å³/cell
- Size of the total moment: 0.53 Bohr magnetons per cell
- Mass density: 4.669 g/cm3

# 2
A geometry-optimized MgNb2I6O2 structure, computed with GGA-PBE.

Structure (CIF):
```
data_MgNb2I6O2
_chemical_formula_sum 'Mg2 Nb4 I12 O4'
_symmetry_space_group_name_H-M 'C 1 2 1'
_symmetry_Int_Tables_number 5
_cell_length_a 15.5490
_cell_length_b 3.9854
_cell_length_c 13.4986
_cell_angle_alpha 90.00
_cell_angle_beta 124.59
_cell_angle_gamma 90.00
loop_
_symmetry_equiv_pos_as_xyz
'x,y,z'
'-x,y,-z'
'x+1/2,y+1/2,z'
'-x+1/2,y+1/2,-z'
loop_
_atom_site_label
_atom_site_type_symbol
_atom_site_fract_x
_atom_site_fract_y
_atom_site_fract_z
_atom_site_occupancy
Mg1 Mg 0.0000 0.0000 0.0000 1
Nb1 Nb 0.0709 0.5495 0.6870 1
I1 I 0.0300 0.5028 0.1757 1
I2 I 0.1391 0.5116 0.5335 1
I3 I 0.2249 0.0032 0.1073 1
O1 O 0.0625 0.0140 0.6901 1
```

Calculated values
- Offset from the most stable computed form: 3 meV per atom
- Calculated formation energy: -1187 meV per atom
- Volume: 688.7 Å³/cell
- Size of the total moment: 3.98 Bohr magnetons per cell
- Mass density: 4.840 g/cm3

# 3
A geometry-optimized MgNb2I6O2 structure, computed with GGA-PBE.

Structure (CIF):
```
data_MgNb2I6O2
_chemical_formula_sum 'Mg1 Nb2 I6 O2'
_symmetry_space_group_name_H-M 'P 1'
_symmetry_Int_Tables_number 1
_cell_length_a 3.9384
_cell_length_b 7.8464
_cell_length_c 12.0762
_cell_angle_alpha 84.25
_cell_angle_beta 80.70
_cell_angle_gamma 75.49
loop_
_symmetry_equiv_pos_as_xyz
'x,y,z'
loop_
_atom_site_label
_atom_site_type_symbol
_atom_site_fract_x
_atom_site_fract_y
_atom_site_fract_z
_atom_site_occupancy
Mg1 Mg 0.0000 0.0000 0.0000 1
Nb1 Nb 0.3650 0.3313 0.9407 1
Nb2 Nb 0.6113 0.2186 0.5801 1
I1 I 0.1519 0.6265 0.0700 1
I2 I 0.3706 0.5204 0.7342 1
I3 I 0.3740 0.0948 0.1581 1
I4 I 0.5868 0.4367 0.3960 1
I5 I 0.5966 0.9868 0.8197 1
I6 I 0.8034 0.9083 0.4818 1
O1 O 0.0919 0.2162 0.6027 1
O2 O 0.8863 0.2793 0.9497 1
```

Calculated values
- Offset from the most stable computed form: 0 meV per atom
- Calculated formation energy: -1190 meV per atom
- Volume: 355.8 Å³/cell
- Size of the total moment: 0.63 Bohr magnetons per cell
- Mass density: 4.683 g/cm3

# 4
A geometry-optimized MgI2O16 structure, computed with GGA-PBE.

Structure (CIF):
```
data_MgI2O16
_chemical_formula_sum 'Mg2 I4 O32'
_symmetry_space_group_name_H-M 'P 1 21/c 1'
_symmetry_Int_Tables_number 14
_cell_length_a 10.5071
_cell_length_b 5.1961
_cell_length_c 10.9219
_cell_angle_alpha 90.00
_cell_angle_beta 113.84
_cell_angle_gamma 90.00
loop_
_symmetry_equiv_pos_as_xyz
'x,y,z'
'-x,-y,-z'
'-x,y+1/2,-z+1/2'
'x,-y+1/2,z+1/2'
loop_
_atom_site_label
_atom_site_type_symbol
_atom_site_fract_x
_atom_site_fract_y
_atom_site_fract_z
_atom_site_occupancy
Mg1 Mg 0.0000 0.0000 0.0000 1
I1 I 0.3626 0.0392 0.3741 1
O1 O 0.0558 0.6847 0.3445 1
O2 O 0.0864 0.6383 0.0496 1
O3 O 0.1562 0.2312 0.5322 1
O4 O 0.1822 0.1514 0.3522 1
O5 O 0.2974 0.6970 0.3872 1
O6 O 0.3122 0.5564 0.6965 1
O7 O 0.4165 0.1311 0.8442 1
O8 O 0.4408 0.0824 0.5726 1
```

Calculated values
- Offset from the most stable computed form: 452 meV per atom
- Calculated formation energy: 153 meV per atom
- Volume: 545.4 Å³/cell
- Size of the total moment: 32.00 Bohr magnetons per cell
- Mass density: 3.252 g/cm3

# 5
A geometry-optimized MgI2O16 structure, computed with GGA-PBE.

Structure (CIF):
```
data_MgI2O16
_chemical_formula_sum 'Mg2 I4 O32'
_symmetry_space_group_name_H-M 'P 1 21/c 1'
_symmetry_Int_Tables_number 14
_cell_length_a 11.2871
_cell_length_b 6.6183
_cell_length_c 13.7283
_cell_angle_alpha 90.00
_cell_angle_beta 126.10
_cell_angle_gamma 90.00
loop_
_symmetry_equiv_pos_as_xyz
'x,y,z'
'-x,-y,-z'
'-x,y+1/2,-z+1/2'
'x,-y+1/2,z+1/2'
loop_
_atom_site_label
_atom_site_type_symbol
_atom_site_fract_x
_atom_site_fract_y
_atom_site_fract_z
_atom_site_occupancy
Mg1 Mg 0.0000 0.0000 0.0000 1
I1 I 0.3321 0.0100 0.0324 1
O1 O 0.0224 0.2087 0.7951 1
O2 O 0.0529 0.6343 0.6758 1
O3 O 0.1437 0.1134 0.6431 1
O4 O 0.1733 0.5165 0.0963 1
O5 O 0.2038 0.5176 0.5742 1
O6 O 0.2512 0.6426 0.4002 1
O7 O 0.3285 0.2271 0.5013 1
O8 O 0.4952 0.0807 0.8430 1
```

Calculated values
- Offset from the most stable computed form: 0 meV per atom
- Calculated formation energy: -300 meV per atom
- Volume: 828.6 Å³/cell
- Size of the total moment: 16.00 Bohr magnetons per cell
- Mass density: 2.141 g/cm3

# 6
A geometry-optimized Mn3I structure, computed with GGA-PBE.

Structure (CIF):
```
data_Mn3I
_chemical_formula_sum 'Mn3 I1'
_symmetry_space_group_name_H-M 'P m -3 m'
_symmetry_Int_Tables_number 221
_symmetry_space_group_name_Hall '-P 4 2 3'
_cell_length_a 3.9172
_cell_length_b 3.9172
_cell_length_c 3.9172
_cell_angle_alpha 90.00
_cell_angle_beta 90.00
_cell_angle_gamma 90.00
loop_
_atom_site_label
_atom_site_type_symbol
_atom_site_fract_x
_atom_site_fract_y
_atom_site_fract_z
_atom_site_occupancy
Mn1 Mn 0.0000 0.0000 0.5000 1
I1 I 0.5000 0.5000 0.5000 1
```

Calculated values
- Calculated formation energy: 712 meV per atom
- Volume: 60.1 Å³/cell
- Size of the total moment: 9.37 Bohr magnetons per cell
- Mass density: 8.059 g/cm3

Number 1: E (MP2020) -4.888 eV per atom. Number 2: E (MP2020) -4.900 eV per atom. Number 3: E (MP2020) -4.903 eV per atom. Number 4: E (MP2020) -4.259 eV per atom. Number 5: E (MP2020) -4.711 eV per atom. Number 6: E (MP2020) -6.540 eV per atom.